DFT (meta-GGA r2SCAN) results for a relaxed SiH8 crystal.

a b c (Å): 5.580 5.580 7.633
angles (deg): 90.00 90.00 90.00
Space group I-4m2 (No. 119)
Asymmetric unit:
Si  0.000  0.000  0.000
H  0.000  0.000  0.451
H  0.000  0.217  0.888
H  0.000  0.500  0.201

---

DFT (meta-GGA r2SCAN) results for a relaxed SiH8 crystal.

a b c (Å): 5.538 5.552 7.595
angles (deg): 90.00 90.00 90.00
Space group Pmn2_1 (No. 31)
Asymmetric unit:
Si  0.000  0.248  0.000
H  0.000  0.029  0.112
H  0.000  0.230  0.542
H  0.000  0.287  0.454
H  0.000  0.465  0.113
H  0.000  0.707  0.703
H  0.000  0.759  0.793
H  0.218  0.248  0.887

---

| no. | DFT formation energy (meV per atom) |
| --- | --- |
| 1 | -3 |
| 2 | -3 |